1.
Here is a relaxed structure of La2AlGe from the Materials Project. Energies are from PBE.

Cell and atoms, written as POSCAR:
```
La2AlGe
1.0
4.186 0.000 0.000
0.000 4.585 0.000
0.000 0.000 11.657
La Al Ge
4 2 2
Cartesian
0.000 0.000 0.000 La
0.000 2.293 5.829 La
2.093 0.000 3.330 La
2.093 2.293 9.159 La
2.093 0.000 6.732 Al
2.093 2.293 0.903 Al
0.000 0.000 8.335 Ge
0.000 2.293 2.506 Ge
```

Energy of formation in meV/atom: -655
SG: Amm2


2.
Here is a relaxed structure of NaBi2Sb3O11 from the Materials Project. Energies are from PBE.

Cell and atoms, written as POSCAR:
```
NaBi2Sb3O11
1.0
9.645 0.000 0.000
0.000 9.645 0.000
0.000 0.000 9.645
Na Bi Sb O
4 8 12 44
Cartesian
0.000 0.000 0.000 Na
0.000 4.823 4.823 Na
4.823 0.000 4.823 Na
4.823 4.823 0.000 Na
1.196 1.196 3.627 Bi
1.196 3.627 1.196 Bi
3.627 1.196 1.196 Bi
3.627 3.627 3.627 Bi
6.018 6.018 6.018 Bi
6.018 8.450 8.450 Bi
8.450 6.018 8.450 Bi
8.450 8.450 6.018 Bi
0.862 2.411 7.234 Sb
2.411 5.685 7.234 Sb
2.411 7.234 0.862 Sb
2.411 7.234 3.961 Sb
2.411 8.783 7.234 Sb
3.961 2.411 7.234 Sb
5.685 7.234 2.411 Sb
7.234 0.862 2.411 Sb
7.234 2.411 5.685 Sb
7.234 2.411 8.783 Sb
7.234 3.961 2.411 Sb
8.783 7.234 2.411 Sb
0.377 7.233 0.854 O
0.377 7.235 3.969 O
0.854 0.377 7.233 O
0.854 4.446 7.235 O
1.089 7.234 7.234 O
1.419 1.419 1.419 O
1.419 3.403 3.403 O
2.411 2.411 5.912 O
2.411 2.411 8.556 O
2.412 5.676 5.200 O
2.410 5.676 9.268 O
2.411 5.912 2.411 O
2.411 8.556 2.411 O
2.410 8.792 5.200 O
2.412 8.792 9.268 O
3.403 1.419 3.403 O
3.403 3.403 1.419 O
3.734 7.234 7.234 O
3.969 0.377 7.235 O
3.969 4.446 7.233 O
4.446 7.235 0.854 O
4.446 7.233 3.969 O
5.200 2.412 5.676 O
5.200 2.410 8.792 O
5.676 5.200 2.412 O
5.676 9.268 2.410 O
5.912 2.411 2.411 O
6.242 6.242 8.226 O
6.242 8.226 6.242 O
7.233 0.854 0.377 O
7.235 0.854 4.446 O
7.234 1.089 7.234 O
7.234 3.734 7.234 O
7.235 3.969 0.377 O
7.233 3.969 4.446 O
7.234 7.234 1.089 O
7.234 7.234 3.734 O
8.226 6.242 6.242 O
8.226 8.226 8.226 O
8.556 2.411 2.411 O
8.792 5.200 2.410 O
8.792 9.268 2.412 O
9.268 2.410 5.676 O
9.268 2.412 8.792 O
```

Energy of formation in meV/atom: -1905
E (MP2020) in eV/f.u.: -108.31
SG: Pn-3


3.
Here is a relaxed structure of RbMg14Mo from the Materials Project. Energies are from PBE.

Cell and atoms, written as POSCAR:
```
RbMg14Mo
1.0
6.502 0.000 0.000
-3.251 5.631 0.000
0.000 0.000 10.356
Rb Mg Mo
1 14 1
Cartesian
0.000 0.000 0.000 Rb
-1.566 2.850 0.000 Mg
0.000 1.859 2.865 Mg
0.000 1.859 7.490 Mg
-1.642 4.702 2.865 Mg
-1.642 4.702 7.490 Mg
1.566 2.850 0.000 Mg
0.000 5.562 0.000 Mg
3.251 0.063 5.178 Mg
1.680 2.784 5.178 Mg
3.251 1.877 2.493 Mg
3.251 1.877 7.863 Mg
1.642 4.702 2.865 Mg
1.642 4.702 7.490 Mg
4.822 2.784 5.178 Mg
0.000 0.000 5.178 Mo
```

Energy of formation in meV/atom: 258
SG: P-6m2


4.
Here is a relaxed structure of NaSiBO4 from the Materials Project. Energies are from PBE.

Cell and atoms, written as POSCAR:
```
NaSiBO4
1.0
9.607 0.000 0.000
0.000 4.824 0.000
0.000 0.000 13.348
Na Si B O
8 8 8 32
Cartesian
0.243 0.243 0.000 Na
2.066 2.685 3.305 Na
2.738 2.685 9.979 Na
4.561 0.243 6.674 Na
5.046 4.581 0.000 Na
6.870 2.139 3.305 Na
7.542 2.139 9.979 Na
9.365 4.581 6.674 Na
0.297 2.125 8.320 Si
2.166 0.218 4.997 Si
2.637 0.218 11.671 Si
4.507 2.125 1.646 Si
5.100 2.699 8.320 Si
6.970 4.605 4.997 Si
7.441 4.605 11.671 Si
9.311 2.699 1.646 Si
0.254 4.550 10.004 B
2.139 2.639 13.322 B
2.665 2.639 6.648 B
4.549 4.550 3.329 B
5.058 0.274 10.004 B
6.943 2.185 13.322 B
7.469 2.185 6.648 B
9.353 0.274 3.329 B
0.012 3.141 9.578 O
0.038 4.208 2.182 O
0.629 4.778 4.486 O
0.698 2.470 0.361 O
1.671 4.709 10.397 O
1.835 2.306 7.824 O
2.373 4.064 12.954 O
2.391 1.764 5.478 O
2.413 1.764 12.152 O
2.430 4.064 6.280 O
2.969 2.306 1.150 O
3.133 4.709 3.723 O
4.106 2.470 7.035 O
4.175 4.778 11.160 O
4.766 4.208 8.856 O
4.791 3.141 2.904 O
4.816 1.683 9.578 O
4.842 0.616 2.182 O
5.433 0.046 4.486 O
5.502 2.354 0.361 O
6.474 0.115 10.397 O
6.639 2.518 7.824 O
7.177 0.760 12.954 O
7.194 3.060 5.478 O
7.217 3.060 12.152 O
7.234 0.760 6.280 O
7.773 2.518 1.150 O
7.937 0.115 3.723 O
8.909 2.354 7.035 O
8.979 0.046 11.160 O
9.570 0.616 8.856 O
9.595 1.683 2.904 O
```

Energy of formation in meV/atom: -2860
E (MP2020) in eV/f.u.: -53.24
SG: Pca2_1


5.
Here is a relaxed structure of DyCr2Ge2 from the Materials Project. Energies are from PBE.

Cell and atoms, written as POSCAR:
```
DyCr2Ge2
1.0
3.900 0.000 0.000
0.000 3.900 0.000
0.000 0.000 11.093
Dy Cr Ge
2 4 4
Cartesian
0.000 0.000 0.000 Dy
1.950 1.950 5.547 Dy
0.000 1.950 2.773 Cr
0.000 1.950 8.320 Cr
1.950 0.000 2.773 Cr
1.950 0.000 8.320 Cr
0.000 0.000 4.258 Ge
0.000 0.000 6.835 Ge
1.950 1.950 1.288 Ge
1.950 1.950 9.805 Ge
```

Energy of formation in meV/atom: -285
SG: I4/mmm


6.
Here is a relaxed structure of K2HgS4 from the Materials Project. Energies are from PBE.

Cell and atoms, written as POSCAR:
```
K2HgS4
1.0
4.428 -4.104 0.000
4.428 4.104 0.000
-3.961 0.000 10.975
K Hg S
4 2 8
Cartesian
1.969 2.306 5.779 K
0.945 2.306 10.684 K
3.949 -2.306 0.292 K
2.926 -2.306 5.196 K
3.437 0.962 2.744 Hg
1.457 -0.962 8.231 Hg
1.007 0.801 3.053 S
-1.533 0.606 9.983 S
0.447 -0.606 4.495 S
-0.973 -0.801 8.541 S
5.868 0.801 2.434 S
4.448 0.606 6.480 S
6.428 -0.606 0.992 S
3.888 -0.801 7.922 S
```

Energy of formation in meV/atom: -801
E (MP2020) in eV/f.u.: -24.68
SG: C2/c